(1)
Below is crystalline EuMgGa3 at its relaxed geometry, with properties calculated at the PBE level.

Output
Space group = I-4m2, No. 119
Calculated formation energy = -432 meV per atom

Lattice parameters (Å, degrees): 4.345 4.345 6.480 70.41 70.41 90.00
Fractional positions:
Ga 0.610 0.610 0.781
Ga 0.250 0.750 0.500
Eu 0.000 0.000 0.000
Ga 0.390 0.390 0.219
Mg 0.750 0.250 0.500

---

(2)
Below is crystalline CaTi4O8 at its relaxed geometry, with properties calculated at the PBE level.

Output
Total magnetization = 1.546 μB per cell
Space group = Cm, No. 8
Calculated formation energy = -3359 meV per atom
Excess energy over the best structure of this formula in the dataset = 29.5 meV per atom

Lattice parameters (Å, degrees): 7.368 7.368 9.753 49.22 49.22 23.69
Fractional positions:
O 0.854 0.854 0.592
Ti 0.369 0.369 0.438
Ti 0.657 0.657 0.496
O 0.473 0.473 0.710
O 0.545 0.545 0.235
Ti 0.166 0.166 0.158
Ca 0.622 0.622 0.855
O 0.790 0.790 0.041
O 0.219 0.219 0.903
O 0.146 0.146 0.373
O 0.837 0.837 0.337
Ti 0.859 0.859 0.790
O 0.166 0.166 0.639

---

(3)
Below is crystalline HgPt at its relaxed geometry, with properties calculated at the PBE level.

Output
Total magnetization = 0.000 μB per cell
Space group = P4/mmm, No. 123
Calculated formation energy = 57 meV per atom

Lattice parameters (Å, degrees): 3.024 3.024 3.988 90.00 90.00 90.00
Fractional positions:
Hg 0.000 0.000 0.000
Pt 0.500 0.500 0.500

---

(4)
Below is crystalline MgIn2Te4 at its relaxed geometry, with properties calculated at the PBE level.

Output
Space group = I-4, No. 82
Maximum piezoelectric response = 0.5 C/m²
Calculated formation energy = -725 meV per atom

Lattice parameters (Å, degrees): 7.800 7.800 7.800 131.77 131.77 70.59
Fractional positions:
Te 0.842 0.387 0.000
In 0.000 0.000 0.000
Te 0.387 0.842 0.000
Te 0.158 0.158 0.545
In 0.250 0.750 0.500
Te 0.613 0.613 0.455
Mg 0.750 0.250 0.500

---

(5)
Below is crystalline Na3Mg2Sn2P3S3O24 at its relaxed geometry, with properties calculated at the PBE level.

Output
Total magnetization = 0.001 μB per cell
Space group = P1, No. 1
Calculated formation energy = -2403 meV per atom

Lattice parameters (Å, degrees): 8.786 8.774 22.639 90.13 89.78 120.03
Fractional positions:
Na 0.995 0.000 0.500
O 0.687 0.522 0.245
O 0.512 0.882 0.363
O 0.832 0.518 0.743
O 0.966 0.811 0.090
O 0.115 0.633 0.362
S 0.628 0.959 0.418
O 0.489 0.363 0.136
S 0.334 0.375 0.419
Mg 0.666 0.334 0.484
S 0.667 0.628 0.583
O 0.969 0.784 0.805
Na 0.005 0.997 0.000
O 0.787 0.969 0.692
O 0.116 0.481 0.862
Mg 0.320 0.661 0.021
O 0.216 0.190 0.809
S 0.335 0.960 0.918
Sn 0.007 0.001 0.651
S 0.038 0.664 0.418
O 0.801 0.827 0.911
O 0.831 0.310 0.244
O 0.312 0.464 0.469
O 0.521 0.687 0.254
O 0.973 0.184 0.306
O 0.540 0.848 0.469
S 0.628 0.670 0.919
O 0.543 0.691 0.971
P 0.298 0.002 0.254
O 0.176 0.197 0.413
P 0.711 0.001 0.751
O 0.829 0.808 0.588
O 0.863 0.353 0.923
P 0.962 0.628 0.083
O 0.881 0.517 0.141
O 0.639 0.115 0.138
O 0.510 0.633 0.865
P 0.997 0.291 0.251
O 0.781 0.812 0.191
Sn 0.333 0.671 0.812
O 0.187 0.966 0.197
O 0.032 0.812 0.693
Na 0.333 0.034 0.418
P 0.997 0.704 0.751
O 0.522 0.835 0.754
P 0.294 0.294 0.753
O 0.450 0.147 0.525
Na 0.680 0.334 0.832
O 0.863 0.508 0.424
O 0.641 0.507 0.921
O 0.155 0.693 0.468
O 0.185 0.027 0.588
O 0.313 0.850 0.969
Mg 0.334 0.672 0.521
P 0.709 0.709 0.251
O 0.801 0.975 0.410
Sn 0.668 0.338 0.186
O 0.828 0.021 0.088
O 0.492 0.354 0.422
O 0.363 0.481 0.362
O 0.492 0.139 0.922
P 0.370 0.037 0.581
O 0.840 0.547 0.030
O 0.885 0.363 0.638
Mg 0.994 0.994 0.847
O 0.697 0.546 0.531
O 0.449 0.300 0.024
O 0.511 0.646 0.577
O 0.027 0.827 0.411
O 0.146 0.657 0.078
Na 0.335 0.676 0.664
O 0.479 0.315 0.745
Sn 0.333 0.663 0.313
S 0.038 0.373 0.917
O 0.347 0.853 0.578
O 0.163 0.479 0.254
O 0.970 0.166 0.588
Mg 0.996 0.001 0.348
Sn 0.011 0.004 0.152
O 0.695 0.151 0.031
P 0.371 0.331 0.080
O 0.185 0.165 0.088
O 0.163 0.682 0.755
O 0.690 0.167 0.744
O 0.318 0.835 0.257
O 0.220 0.029 0.310
O 0.155 0.460 0.968
S 0.961 0.333 0.582
O 0.364 0.884 0.862
O 0.027 0.199 0.911
Na 0.680 0.345 0.332
O 0.821 0.796 0.304
Mg 0.672 0.338 0.985
O 0.482 0.167 0.245
O 0.483 0.125 0.638
O 0.316 0.482 0.756
O 0.515 0.861 0.077
O 0.030 0.216 0.193
S 0.667 0.040 0.082
Na 0.313 0.657 0.164
O 0.177 0.980 0.912
O 0.642 0.135 0.423
O 0.850 0.307 0.531
Na 0.334 0.299 0.917
O 0.183 0.217 0.696
O 0.359 0.500 0.077
Na 0.661 0.686 0.082
O 0.643 0.525 0.638
Sn 0.661 0.327 0.686
O 0.818 0.027 0.805
O 0.138 0.484 0.577

---

(6)
Below is crystalline Na3W2N5 at its relaxed geometry, with properties calculated at the PBE level.

Output
Total magnetization = 0.001 μB per cell
Space group = I4_1, No. 80
Maximum piezoelectric response = 5.9 C/m²
Calculated formation energy = -629 meV per atom

Lattice parameters (Å, degrees): 9.675 9.675 9.675 101.74 101.74 126.37
Fractional positions:
Na 0.794 0.414 0.163
Na 0.251 0.631 0.837
N 0.904 0.003 0.336
N 0.203 0.890 0.035
N 0.211 0.958 0.388
Na 0.775 0.275 0.500
N 0.945 0.332 0.337
N 0.569 0.823 0.612
N 0.253 0.417 0.599
W 0.886 0.699 0.618
N 0.995 0.608 0.663
Na 0.072 0.198 0.732
Na 0.466 0.340 0.268
Na 0.525 0.525 0.000
N 0.855 0.169 0.965
W 0.949 0.831 0.314
N 0.504 0.985 0.294
Na 0.932 0.932 0.000
W 0.287 0.009 0.900
W 0.110 0.387 0.100
W 0.081 0.267 0.382
N 0.818 0.654 0.401
Na 0.448 0.216 0.626
W 0.637 0.037 0.778
Na 0.881 0.544 0.880
N 0.858 0.695 0.113
N 0.419 0.953 0.814
N 0.073 0.961 0.754
Na 0.664 0.001 0.120
N 0.667 0.568 0.664
N 0.235 0.441 0.981
W 0.259 0.860 0.222
Na 0.182 0.682 0.500
N 0.459 0.254 0.019
W 0.517 0.636 0.686
N 0.691 0.209 0.706
N 0.208 0.319 0.246
Na 0.590 0.822 0.374
N 0.582 0.745 0.887
N 0.140 0.605 0.186

---

(7)
Below is crystalline SrCaCuBiO6 at its relaxed geometry, with properties calculated at the PBE level.

Output
Total magnetization = 0.000 μB per cell
Space group = F-43m, No. 216
Calculated formation energy = -1904 meV per atom

Lattice parameters (Å, degrees): 5.738 5.738 5.738 60.00 60.00 60.00
Fractional positions:
O 0.739 0.739 0.261
Ca 0.250 0.250 0.250
O 0.261 0.739 0.739
Sr 0.750 0.750 0.750
O 0.739 0.261 0.739
Cu 0.500 0.500 0.500
O 0.261 0.739 0.261
O 0.261 0.261 0.739
O 0.739 0.261 0.261
Bi 0.000 0.000 0.000

---

(8)
Below is crystalline CeSe2 at its relaxed geometry, with properties calculated at the PBE level.

Output
Total magnetization = 0.000 μB per cell
Space group = P2_1, No. 4
Calculated formation energy = -1391 meV per atom

Lattice parameters (Å, degrees): 14.160 8.709 8.717 60.20 90.00 90.00
Fractional positions:
Se 0.002 0.667 0.666
Se 0.219 0.556 0.033
Se 0.289 0.567 0.517
Ce 0.690 0.287 0.320
Se 0.789 0.433 0.483
Ce 0.190 0.713 0.680
Se 0.502 0.333 0.334
Ce 0.813 0.618 0.654
Se 0.728 0.937 0.466
Se 0.719 0.444 0.967
Ce 0.313 0.382 0.346
Se 0.228 0.063 0.534

---

(9)
Below is crystalline Lu10Al4Ge11 at its relaxed geometry, with properties calculated at the PBE level.

Output
Total magnetization = 0.001 μB per cell
Space group = C2/m, No. 12
Calculated formation energy = -676 meV per atom

Lattice parameters (Å, degrees): 5.573 5.573 24.764 83.43 83.43 42.55
Fractional positions:
Ge 0.379 0.379 0.060
Al 0.599 0.599 0.200
Ge 0.985 0.985 0.257
Ge 0.000 0.000 0.000
Ge 0.413 0.413 0.543
Ge 0.186 0.186 0.657
Al 0.200 0.200 0.400
Lu 0.074 0.074 0.857
Ge 0.621 0.621 0.940
Lu 0.333 0.333 0.943
Lu 0.272 0.272 0.257
Al 0.800 0.800 0.600
Lu 0.872 0.872 0.457
Ge 0.210 0.210 0.144
Lu 0.926 0.926 0.143
Al 0.401 0.401 0.800
Ge 0.790 0.790 0.856
Lu 0.472 0.472 0.658
Lu 0.128 0.128 0.543
Lu 0.728 0.728 0.743
Ge 0.814 0.814 0.343
Ge 0.587 0.587 0.457
Lu 0.528 0.528 0.342
Ge 0.015 0.015 0.743
Lu 0.667 0.667 0.057

---

(10)
Below is crystalline Sr5Ti2N6 at its relaxed geometry, with properties calculated at the PBE level.

Output
Space group = C2/c, No. 15
Calculated formation energy = -1225 meV per atom

Lattice parameters (Å, degrees): 6.347 6.898 13.645 90.00 100.09 122.92
Fractional positions:
N 0.576 0.396 0.075
N 0.424 0.604 0.925
N 0.111 0.042 0.376
Ti 0.449 0.116 0.429
N 0.705 0.327 0.356
Sr 0.922 0.699 0.498
N 0.889 0.958 0.624
Sr 0.922 0.222 0.998
N 0.705 0.378 0.856
N 0.576 0.181 0.575
Ti 0.449 0.333 0.929
Sr 0.312 0.035 0.722
N 0.889 0.931 0.124
Sr 0.078 0.778 0.002
Sr 0.312 0.277 0.222
N 0.295 0.673 0.644
Sr 0.688 0.723 0.778
Sr 0.078 0.301 0.502
Ti 0.551 0.667 0.071
N 0.111 0.069 0.876
N 0.295 0.622 0.144
Ti 0.551 0.884 0.571
Sr 0.000 0.357 0.750
Sr 0.000 0.643 0.250
N 0.424 0.819 0.425
Sr 0.688 0.965 0.278

---

(11)
Below is crystalline U6Si19Pt30 at its relaxed geometry, with properties calculated at the PBE level.

Output
Total magnetization = 2.834 μB per cell
Space group = P-3, No. 147
Calculated formation energy = -683 meV per atom

Lattice parameters (Å, degrees): 16.113 16.113 4.000 90.00 90.00 120.00
Fractional positions:
Si 0.445 0.763 0.750
Pt 0.455 0.532 0.750
Si 0.135 0.256 0.749
Si 0.939 0.566 0.750
Pt 0.963 0.723 0.752
Si 0.373 0.939 0.250
Si 0.120 0.865 0.749
Pt 0.656 0.226 0.750
Pt 0.972 0.123 0.758
Pt 0.152 0.028 0.758
Pt 0.877 0.848 0.758
Si 0.000 0.000 0.500
Si 0.061 0.434 0.250
Pt 0.585 0.745 0.749
Pt 0.160 0.415 0.749
Pt 0.028 0.877 0.242
Pt 0.255 0.840 0.749
Pt 0.923 0.455 0.250
Pt 0.745 0.160 0.251
Si 0.555 0.237 0.250
Pt 0.761 0.037 0.752
Si 0.865 0.744 0.251
Pt 0.415 0.255 0.251
Si 0.682 0.445 0.250
U 0.099 0.703 0.249
Pt 0.570 0.344 0.750
Si 0.566 0.627 0.250
Si 0.237 0.682 0.750
Pt 0.840 0.585 0.251
U 0.605 0.901 0.249
Pt 0.037 0.277 0.248
Si 0.880 0.135 0.251
U 0.901 0.297 0.751
Pt 0.226 0.570 0.250
Si 0.318 0.555 0.750
Pt 0.532 0.077 0.250
U 0.297 0.395 0.249
Pt 0.848 0.972 0.242
Pt 0.077 0.545 0.750
Si 0.744 0.880 0.749
Pt 0.774 0.430 0.750
Pt 0.344 0.774 0.250
Pt 0.123 0.152 0.242
Pt 0.468 0.923 0.750
Si 0.256 0.120 0.251
Si 0.434 0.373 0.750
Si 0.627 0.061 0.750
Pt 0.723 0.761 0.248
Pt 0.239 0.963 0.248
Pt 0.277 0.239 0.752
Pt 0.545 0.468 0.250
Si 0.763 0.318 0.250
U 0.703 0.605 0.751
U 0.395 0.099 0.751
Pt 0.430 0.656 0.250

---

(12)
Below is crystalline Y3Al2Ni6 at its relaxed geometry, with properties calculated at the PBE level.

Output
Space group = Im-3m, No. 229
Calculated formation energy = -555 meV per atom

Lattice parameters (Å, degrees): 7.730 7.730 7.730 109.47 109.47 109.47
Fractional positions:
Al 0.500 0.000 0.000
Y 0.000 0.708 0.708
Ni 0.334 0.334 0.668
Y 0.708 0.708 0.000
Y 0.292 0.292 0.000
Al 0.500 0.500 0.500
Ni 0.000 0.334 0.666
Y 0.000 0.292 0.292
Ni 0.334 0.666 0.000
Ni 0.332 0.666 0.666
Al 0.000 0.000 0.500
Ni 0.334 0.000 0.666
Y 0.708 0.000 0.708
Ni 0.668 0.334 0.334
Y 0.292 0.000 0.292
Ni 0.000 0.666 0.334
Al 0.000 0.500 0.000
Ni 0.334 0.668 0.334
Ni 0.666 0.334 0.000
Ni 0.666 0.000 0.334
Ni 0.666 0.332 0.666
Ni 0.666 0.666 0.332

---

Repeat the fourth record exactly.
Below is crystalline MgIn2Te4 at its relaxed geometry, with properties calculated at the PBE level.

Output
Space group = I-4, No. 82
Maximum piezoelectric response = 0.5 C/m²
Calculated formation energy = -725 meV per atom

Lattice parameters (Å, degrees): 7.800 7.800 7.800 131.77 131.77 70.59
Fractional positions:
Te 0.842 0.387 0.000
In 0.000 0.000 0.000
Te 0.387 0.842 0.000
Te 0.158 0.158 0.545
In 0.250 0.750 0.500
Te 0.613 0.613 0.455
Mg 0.750 0.250 0.500

---

> The lowest calculated formation energy belongs to which entry?

CaTi4O8